Compound: CaCoP2O7
Source: the Materials Project database
Functional: PBE+U
Structure: optimized geometry

Unit cell a=7.378 b=8.779 c=9.195 alpha=90.00 beta=116.75 gamma=90.00
Space group P2_1/c (No. 14)
Symmetry-distinct sites (fractional):
Ca (0.230, 0.051, 0.376) (multiplicity 4)
Co (0.270, 0.067, 0.886) (multiplicity 4)
P (0.029, 0.747, 0.965) (multiplicity 4)
P (0.453, 0.726, 0.264) (multiplicity 4)
O (0.033, 0.109, 0.652) (multiplicity 4)
O (0.064, 0.607, 0.390) (multiplicity 4)
O (0.112, 0.233, 0.956) (multiplicity 4)
O (0.243, 0.682, 0.105) (multiplicity 4)
O (0.393, 0.239, 0.305) (multiplicity 4)
O (0.431, 0.628, 0.844) (multiplicity 4)
O (0.487, 0.585, 0.374) (multiplicity 4)

For the formation energy, the calculation gives -2.71 eV/atom.